The following is a DFT calculation (PBE-GGA) of crystalline Y5Si2B8 at its relaxed geometry.

Summary:
The raw total energy comes out at -7.118 eV per atom. The formation energy is -677 meV per atom. As for the calculated density: 4.58 Mg/m³. As for the crystal system: tetragonal.

Lattice parameters (Å, degrees): 7.245 7.245 8.111 90.00 90.00 90.00
Sites, in units of the cell vectors:
Y  0.000  0.000  0.000
Y  0.181  0.319  0.276
Y  0.181  0.319  0.724
Y  0.319  0.819  0.276
Y  0.319  0.819  0.724
Y  0.500  0.500  0.000
Y  0.681  0.181  0.276
Y  0.681  0.181  0.724
Y  0.819  0.681  0.276
Y  0.819  0.681  0.724
Si  0.115  0.615  0.000
Si  0.385  0.115  0.000
Si  0.615  0.885  0.000
Si  0.885  0.385  0.000
B  0.000  0.000  0.338
B  0.000  0.000  0.662
B  0.039  0.828  0.500
B  0.090  0.590  0.500
B  0.172  0.039  0.500
B  0.328  0.539  0.500
B  0.410  0.090  0.500
B  0.461  0.328  0.500
B  0.500  0.500  0.338
B  0.500  0.500  0.662
B  0.539  0.672  0.500
B  0.590  0.910  0.500
B  0.672  0.461  0.500
B  0.828  0.961  0.500
B  0.910  0.410  0.500
B  0.961  0.172  0.500